1.
Material: Li8NiO4F2
Method: DFT, GGA+U
State: optimized geometry

Properties
volume	9.10	Å³/atom
mass density	2.630	Mg/m³
calculated total energy	-4.70	eV per atom
ΔH_f (0 K)	-2.14	eV per atom
space group	P-1 (2)

Unit cell a=5.308 b=5.319 c=5.756 alpha=91.18 beta=114.91 gamma=109.41
Element x y z (fractional)
Li  0.217  0.453  0.323
Li  0.077  0.200  0.632
Li  0.424  0.890  0.646
Li  0.667  0.307  0.001
Li  0.333  0.693  0.999
Li  0.576  0.110  0.354
Li  0.923  0.800  0.368
Li  0.783  0.547  0.677
Ni  0.000  0.000  0.000
O  0.875  0.116  0.244
O  0.204  0.797  0.247
O  0.796  0.203  0.753
O  0.125  0.884  0.756
F  0.427  0.523  0.722
F  0.573  0.477  0.278

=====

2.
Material: Li2NiO2F
Method: DFT, GGA+U
State: optimized geometry

Properties
volume	8.58	Å³/atom
mass density	3.986	Mg/m³
calculated total energy	-4.82	eV per atom
ΔH_f (0 K)	-1.98	eV per atom
space group	C2 (5)

Unit cell a=5.030 b=5.030 c=9.576 alpha=85.41 beta=85.41 gamma=120.54
Element x y z (fractional)
Li  0.835  0.659  0.246
Li  0.997  0.489  0.754
Li  0.910  0.090  0.000
Li  0.341  0.165  0.754
Li  0.511  0.003  0.246
Li  0.666  0.846  0.757
Li  0.252  0.748  0.000
Li  0.154  0.334  0.243
Ni  0.748  0.252  0.500
Ni  0.599  0.401  0.000
Ni  0.079  0.921  0.500
Ni  0.413  0.587  0.500
O  0.712  0.577  0.607
O  0.863  0.371  0.122
O  0.765  0.928  0.387
O  0.423  0.288  0.393
O  0.629  0.137  0.878
O  0.371  0.860  0.612
O  0.140  0.629  0.388
O  0.072  0.235  0.613
F  0.963  0.796  0.872
F  0.541  0.689  0.122
F  0.204  0.037  0.128
F  0.311  0.459  0.878

=====

3.
Material: Li6Ni11O2F24
Method: DFT, GGA+U
State: optimized geometry

Properties
volume	11.71	Å³/atom
mass density	3.876	Mg/m³
calculated total energy	-4.50	eV per atom
ΔH_f (0 K)	-2.40	eV per atom
space group	P1 (1)

Unit cell a=7.965 b=7.972 c=8.619 alpha=106.26 beta=106.56 gamma=86.49
Element x y z (fractional)
Li  0.888  0.580  0.752
Li  0.796  0.940  0.546
Li  0.287  0.662  0.102
Li  0.717  0.338  0.891
Li  0.199  0.043  0.442
Li  0.110  0.437  0.264
Ni  0.866  0.742  0.146
Ni  0.778  0.158  0.252
Ni  0.996  0.991  0.002
Ni  0.691  0.524  0.296
Ni  0.548  0.299  0.470
Ni  0.630  0.909  0.881
Ni  0.394  0.101  0.127
Ni  0.459  0.700  0.523
Ni  0.299  0.459  0.691
Ni  0.216  0.848  0.755
Ni  0.134  0.248  0.841
O  0.847  0.783  0.927
O  0.563  0.296  0.244
F  0.993  0.001  0.246
F  0.916  0.381  0.322
F  0.915  0.374  0.826
F  0.839  0.750  0.375
F  0.760  0.143  0.477
F  0.705  0.533  0.069
F  0.610  0.936  0.119
F  0.678  0.545  0.550
F  0.773  0.140  0.993
F  0.619  0.908  0.647
F  0.522  0.328  0.701
F  0.477  0.678  0.296
F  0.374  0.094  0.353
F  0.232  0.869  0.008
F  0.442  0.705  0.768
F  0.320  0.468  0.459
F  0.365  0.074  0.873
F  0.151  0.222  0.080
F  0.291  0.459  0.921
F  0.246  0.848  0.533
F  0.157  0.237  0.614
F  0.097  0.627  0.177
F  0.093  0.620  0.683
F  0.005  0.002  0.760

=====

4.
Material: Li5Ni3O5F3
Method: DFT, GGA+U
State: optimized geometry

Properties
volume	8.98	Å³/atom
mass density	4.018	Mg/m³
calculated total energy	-4.20	eV per atom
ΔH_f (0 K)	-1.39	eV per atom
space group	P1 (1)

Unit cell a=5.599 b=5.756 c=5.983 alpha=118.67 beta=117.37 gamma=90.36
Element x y z (fractional)
Li  0.501  0.499  0.502
Li  0.997  0.003  0.003
Li  0.998  0.474  0.012
Li  0.990  0.530  0.480
Li  0.509  0.488  0.004
Ni  0.507  0.004  0.001
Ni  0.519  0.950  0.534
Ni  0.000  0.002  0.499
O  0.748  0.260  0.994
O  0.262  0.723  0.536
O  0.759  0.782  0.503
O  0.243  0.219  0.497
O  0.735  0.282  0.460
F  0.279  0.157  0.067
F  0.723  0.840  0.936
F  0.232  0.788  0.971

=====

5.
Material: Li8NiO4F2
Method: DFT, GGA+U
State: optimized geometry

Properties
volume	8.98	Å³/atom
mass density	2.666	Mg/m³
calculated total energy	-4.73	eV per atom
ΔH_f (0 K)	-2.17	eV per atom
space group	P-1 (2)

Unit cell a=5.469 b=6.070 c=16.365 alpha=97.33 beta=88.97 gamma=90.41
Element x y z (fractional)
Li  0.180  0.401  0.532
Li  0.681  0.901  0.782
Li  0.181  0.401  0.032
Li  0.680  0.901  0.282
Li  0.820  0.599  0.468
Li  0.320  0.099  0.718
Li  0.820  0.599  0.968
Li  0.320  0.099  0.218
Li  0.327  0.430  0.391
Li  0.826  0.930  0.641
Li  0.327  0.431  0.891
Li  0.827  0.930  0.141
Li  0.673  0.570  0.609
Li  0.173  0.070  0.859
Li  0.673  0.569  0.109
Li  0.173  0.070  0.359
Li  0.355  0.766  0.565
Li  0.856  0.266  0.815
Li  0.355  0.766  0.065
Li  0.855  0.266  0.315
Li  0.644  0.234  0.435
Li  0.144  0.734  0.685
Li  0.645  0.234  0.935
Li  0.145  0.734  0.185
Li  0.451  0.147  0.572
Li  0.951  0.646  0.822
Li  0.451  0.146  0.072
Li  0.951  0.647  0.322
Li  0.549  0.854  0.428
Li  0.049  0.353  0.678
Li  0.549  0.853  0.928
Li  0.049  0.353  0.178
Ni  0.000  0.000  0.500
Ni  0.500  0.500  0.750
Ni  0.000  0.000  0.000
Ni  0.500  0.500  0.250
O  0.317  0.158  0.461
O  0.817  0.658  0.711
O  0.318  0.158  0.961
O  0.817  0.658  0.211
O  0.683  0.842  0.539
O  0.183  0.342  0.789
O  0.683  0.842  0.039
O  0.183  0.342  0.289
O  0.343  0.498  0.631
O  0.844  0.998  0.881
O  0.343  0.498  0.131
O  0.843  0.998  0.381
O  0.657  0.502  0.369
O  0.156  0.002  0.619
O  0.657  0.503  0.869
O  0.156  0.002  0.119
F  0.167  0.657  0.466
F  0.669  0.155  0.716
F  0.168  0.656  0.966
F  0.668  0.155  0.216
F  0.832  0.344  0.534
F  0.332  0.845  0.784
F  0.833  0.343  0.034
F  0.332  0.845  0.284

=====

6.
Material: Li8NiO4F2
Method: DFT, GGA+U
State: optimized geometry

Properties
volume	9.03	Å³/atom
mass density	2.652	Mg/m³
calculated total energy	-4.70	eV per atom
ΔH_f (0 K)	-2.13	eV per atom
space group	P-1 (2)

Unit cell a=5.491 b=5.508 c=10.769 alpha=75.73 beta=75.33 gamma=60.28
Element x y z (fractional)
Li  0.113  0.779  0.675
Li  0.203  0.574  0.316
Li  0.067  0.411  0.817
Li  0.182  0.233  0.489
Li  0.283  0.416  0.005
Li  0.280  0.948  0.165
Li  0.432  0.091  0.666
Li  0.591  0.307  0.181
Li  0.409  0.693  0.819
Li  0.568  0.909  0.334
Li  0.720  0.052  0.835
Li  0.717  0.584  0.995
Li  0.818  0.767  0.511
Li  0.797  0.426  0.684
Li  0.933  0.589  0.183
Li  0.887  0.221  0.325
Ni  0.000  0.000  0.000
Ni  0.500  0.500  0.500
O  0.037  0.720  0.883
O  0.270  0.647  0.121
O  0.140  0.462  0.618
O  0.527  0.238  0.379
O  0.473  0.762  0.621
O  0.860  0.538  0.382
O  0.730  0.353  0.879
O  0.963  0.280  0.117
F  0.376  0.037  0.861
F  0.220  0.881  0.365
F  0.780  0.119  0.635
F  0.624  0.963  0.139

=====

7.
Material: Li2NiO2F
Method: DFT, GGA+U
State: optimized geometry

Properties
volume	8.68	Å³/atom
mass density	3.938	Mg/m³
calculated total energy	-4.88	eV per atom
ΔH_f (0 K)	-2.04	eV per atom
space group	P-3m1 (164)

Unit cell a=2.900 b=2.900 c=14.308 alpha=90.00 beta=90.00 gamma=120.00
Element x y z (fractional)
Li  0.333  0.667  0.667
Li  0.333  0.667  0.167
Li  0.667  0.333  0.331
Li  0.000  0.000  0.003
Ni  0.667  0.333  0.834
Ni  0.000  0.000  0.500
O  0.333  0.667  0.909
O  0.667  0.333  0.576
O  0.333  0.667  0.424
O  0.000  0.000  0.757
F  0.667  0.333  0.084
F  0.000  0.000  0.249